TmGaPd: relaxed, r²SCAN.

Properties
Total moment: 0.00 Bohr magnetons per cell
Calculated total energy: -0.8870 Ha/atom
Space-group type: No. 62

Lattice parameters (Å, degrees): 4.410 6.823 7.532 90.00 90.00 90.00
Positions (direct):
Pd: 0.250 0.719 0.405
Pd: 0.750 0.281 0.595
Pd: 0.750 0.781 0.905
Pd: 0.250 0.219 0.095
Ga: 0.750 0.179 0.923
Ga: 0.250 0.821 0.077
Ga: 0.250 0.321 0.423
Ga: 0.750 0.679 0.577
Tm: 0.750 0.515 0.200
Tm: 0.250 0.985 0.700
Tm: 0.750 0.015 0.300
Tm: 0.250 0.485 0.800



Y6Ga17Pd5: relaxed, r²SCAN.

Properties
Total moment: 0.00 Bohr magnetons per cell
Calculated total energy: -0.5935 Ha/atom
Space-group type: No. 12

Lattice parameters (Å, degrees): 8.148 8.148 15.742 75.99 75.99 29.88
Positions (direct):
Ga: 0.954 0.954 0.673
Ga: 0.739 0.739 0.105
Ga: 0.174 0.174 0.457
Ga: 0.102 0.102 0.736
Ga: 0.500 0.500 0.000
Ga: 0.678 0.678 0.959
Ga: 0.322 0.322 0.041
Ga: 0.461 0.461 0.179
Ga: 0.607 0.607 0.234
Ga: 0.898 0.898 0.264
Ga: 0.393 0.393 0.766
Ga: 0.261 0.261 0.895
Ga: 0.231 0.231 0.603
Ga: 0.046 0.046 0.327
Ga: 0.826 0.826 0.543
Ga: 0.539 0.539 0.821
Ga: 0.769 0.769 0.397
Pd: 0.392 0.392 0.606
Pd: 0.000 0.000 0.500
Pd: 0.904 0.904 0.097
Pd: 0.096 0.096 0.903
Pd: 0.608 0.608 0.394
Y: 0.252 0.252 0.250
Y: 0.748 0.748 0.750
Y: 0.409 0.409 0.407
Y: 0.591 0.591 0.593
Y: 0.901 0.901 0.903
Y: 0.099 0.099 0.097



YGaPd: relaxed, r²SCAN.

Properties
Total moment: 0.00 Bohr magnetons per cell
Calculated total energy: -0.7052 Ha/atom
Space-group type: No. 62

Lattice parameters (Å, degrees): 4.462 6.997 7.537 90.00 90.00 90.00
Positions (direct):
Y: 0.250 0.485 0.201
Y: 0.750 0.515 0.799
Y: 0.250 0.985 0.299
Y: 0.750 0.015 0.701
Ga: 0.750 0.682 0.421
Ga: 0.750 0.182 0.079
Ga: 0.250 0.318 0.579
Ga: 0.250 0.818 0.921
Pd: 0.250 0.211 0.907
Pd: 0.750 0.789 0.093
Pd: 0.750 0.289 0.407
Pd: 0.250 0.711 0.593



YGa2Pd: relaxed, r²SCAN.

Properties
Total moment: 0.00 Bohr magnetons per cell
Calculated total energy: -0.6394 Ha/atom
Space-group type: No. 63

Lattice parameters (Å, degrees): 5.521 5.521 6.561 90.00 90.00 132.91
Positions (direct):
Ga: 0.127 0.873 0.945
Ga: 0.873 0.127 0.445
Ga: 0.127 0.873 0.555
Ga: 0.873 0.127 0.055
Pd: 0.299 0.701 0.250
Pd: 0.701 0.299 0.750
Y: 0.588 0.412 0.250
Y: 0.412 0.588 0.750



YbGaPd2: relaxed, r²SCAN.

Properties
Total moment: 0.00 Bohr magnetons per cell
Calculated total energy: -0.8952 Ha/atom
Space-group type: No. 225

Lattice parameters (Å, degrees): 4.591 4.591 4.591 60.00 60.00 60.00
Positions (direct):
Pd: 0.750 0.750 0.750
Pd: 0.250 0.250 0.250
Yb: 0.000 0.000 0.000
Ga: 0.500 0.500 0.500



Pm3Ga: relaxed, r²SCAN.

Properties
Total moment: 0.00 Bohr magnetons per cell
Calculated total energy: -0.9303 Ha/atom
Space-group type: No. 221

Lattice parameters (Å, degrees): 4.804 4.804 4.804 90.00 90.00 90.00
Positions (direct):
Pm: 0.000 0.500 0.500
Pm: 0.500 0.000 0.500
Pm: 0.500 0.500 0.000
Ga: 0.000 0.000 0.000



Pm2GaRu: relaxed, r²SCAN.

Properties
Total moment: 0.00 Bohr magnetons per cell
Calculated total energy: -0.8954 Ha/atom
Space-group type: No. 225

Lattice parameters (Å, degrees): 5.046 5.046 5.046 60.00 60.00 60.00
Positions (direct):
Ru: 0.000 0.000 0.000
Ga: 0.500 0.500 0.500
Pm: 0.250 0.250 0.250
Pm: 0.750 0.750 0.750



PmSmGa2: relaxed, r²SCAN.

Properties
Total moment: 0.00 Bohr magnetons per cell
Calculated total energy: -0.7782 Ha/atom
Space-group type: No. 225

Lattice parameters (Å, degrees): 5.155 5.155 5.155 60.00 60.00 60.00
Positions (direct):
Pm: 0.500 0.500 0.500
Ga: 0.750 0.750 0.750
Ga: 0.250 0.250 0.250
Sm: 0.000 0.000 0.000



> Among the records above, which one has the lowest calculated total energy?

Pm3Ga



> Number 8 is which compound?

PmSmGa2



> total moment of number 7 (Pm2GaRu)?

0.00 Bohr magnetons per cell